Entry from Materials Project: a relaxed K4UO5 crystal (PBE-GGA). Values from VASP.

```
&SYSTEM
  ibrav = 0, nat = 20, ntyp = 3
/
ATOMIC_SPECIES
O 16.00 O.upf
K 39.10 K.upf
U 238.03 U.upf
CELL_PARAMETERS angstrom
6.5585 0.0000 0.0000
-1.3846 6.4121 0.0000
-3.1744 -2.7189 8.9042
ATOMIC_POSITIONS crystal
O 0.1432 0.8952 0.9648
K 0.4013 0.7039 0.4028
K 0.4164 0.2036 0.9024
O 0.0294 0.8300 0.2363
K 0.7943 0.4047 0.3001
O 0.8241 0.7046 0.6128
O 0.9706 0.1700 0.7637
O 0.8568 0.1048 0.0352
O 0.1759 0.2954 0.3872
K 0.5987 0.2961 0.5972
O 0.5003 0.9404 0.6949
O 0.6439 0.6287 0.8416
K 0.0000 0.0000 0.5000
U 0.1895 0.1002 0.1954
K 0.0000 0.5000 0.0000
K 0.5836 0.7964 0.0976
U 0.8105 0.8998 0.8046
K 0.2057 0.5953 0.6999
O 0.4997 0.0596 0.3051
O 0.3561 0.3713 0.1584
```

The energy of formation from the pure elements comes out at -2638.1 meV per atom. The crystal system is triclinic. Its MP2020-corrected energy is -0.2457 hartree per atom.

Entry from Materials Project: a relaxed NaHfAlP2SO12 crystal (PBE-GGA). Values from VASP.

```
&SYSTEM
  ibrav = 0, nat = 108, ntyp = 6
/
ATOMIC_SPECIES
O 16.00 O.upf
Na 22.99 Na.upf
Hf 178.49 Hf.upf
S 32.06 S.upf
P 30.97 P.upf
Al 26.98 Al.upf
CELL_PARAMETERS angstrom
8.6539 0.0000 0.0000
-4.3269 7.4585 -0.0785
0.0000 -0.2356 22.5214
ATOMIC_POSITIONS crystal
O 0.8598 0.3635 0.9232
Na 0.6706 0.3244 0.3372
O 0.1242 0.4904 0.8627
O 0.8143 0.7940 0.3029
Hf 0.9995 0.0024 0.3546
O 0.6999 0.5311 0.5267
O 0.4875 0.3565 0.1384
S 0.3469 0.3843 0.4150
Na 0.6537 0.3244 0.8372
O 0.2969 0.4798 0.7589
O 0.8496 0.8132 0.5922
P 0.3480 0.9610 0.9152
O 0.7908 0.8238 0.1960
P 0.0391 0.6573 0.4157
O 0.9711 0.1575 0.5904
Hf 0.6661 0.3358 0.6879
O 0.3044 0.8241 0.2571
O 0.6855 0.5354 0.2443
O 0.3662 0.4904 0.3627
O 0.2016 0.1791 0.8044
O 0.8683 0.5124 0.1377
O 0.8313 0.5311 0.0267
Al 0.3594 0.6766 0.8138
O 0.3518 0.4921 0.0767
S 0.0136 0.7176 0.7484
P 0.3724 0.3240 0.0824
O 0.5264 0.6968 0.2565
O 0.4597 0.2962 0.0271
O 0.5350 0.8457 0.4710
O 0.6851 0.1587 0.7434
O 0.6378 0.4908 0.9237
O 0.1542 0.6899 0.4718
O 0.1699 0.9629 0.1938
Hf 0.0030 0.0024 0.8546
O 0.4700 0.3184 0.7426
O 0.4810 0.1273 0.6363
O 0.9774 0.1791 0.3044
O 0.9797 0.7940 0.8029
O 0.0329 0.8238 0.6960
O 0.8530 0.4908 0.4237
P 0.6182 0.6573 0.9157
Na 0.3204 0.6577 0.1705
Na 0.3373 0.6577 0.6705
S 0.6802 0.0510 0.0817
O 0.8484 0.3184 0.2426
S 0.3707 0.0510 0.5817
O 0.6464 0.1273 0.1363
P 0.6814 0.6276 0.5819
Na 0.9871 0.9910 0.5039
Hf 0.3363 0.6691 0.5213
O 0.1367 0.6517 0.0759
O 0.0332 0.1978 0.1934
O 0.1476 0.4607 0.9696
O 0.3130 0.4607 0.4696
O 0.5166 0.8688 0.0776
O 0.0184 0.8254 0.4101
Al 0.3172 0.6766 0.3138
O 0.8499 0.5354 0.7443
O 0.3522 0.8688 0.5776
O 0.1817 0.9851 0.9093
Al 0.9838 0.0099 0.6471
O 0.8209 0.0232 0.8051
Na 0.0040 0.9910 0.0039
O 0.6303 0.1465 0.4256
O 0.8365 0.2962 0.5271
O 0.1864 0.1575 0.0904
O 0.1829 0.4798 0.2589
P 0.0147 0.2943 0.2486
O 0.3107 0.8457 0.9710
O 0.4979 0.8645 0.3600
O 0.2023 0.0232 0.3051
O 0.1264 0.6296 0.3605
P 0.2796 0.2943 0.7486
Hf 0.6696 0.3358 0.1879
O 0.8070 0.8254 0.9101
O 0.6441 0.5124 0.6377
O 0.5037 0.3635 0.4232
Hf 0.3328 0.6691 0.0213
P 0.2849 0.9907 0.2491
O 0.6996 0.1571 0.0294
O 0.1931 0.0301 0.5899
O 0.5162 0.1465 0.9256
P 0.9462 0.6276 0.0819
O 0.8034 0.9851 0.4093
S 0.0374 0.3843 0.9150
Al 0.6505 0.3432 0.9804
O 0.1403 0.4921 0.5767
O 0.9636 0.8132 0.0922
O 0.4736 0.1587 0.2434
O 0.5151 0.6517 0.5759
O 0.8370 0.0301 0.0899
O 0.1832 0.2021 0.4110
P 0.7058 0.9907 0.7491
O 0.5357 0.6899 0.9718
O 0.1646 0.1978 0.6934
O 0.5032 0.6296 0.8605
Al 0.0261 0.0099 0.1471
P 0.6129 0.9610 0.4152
Al 0.6927 0.3432 0.4804
P 0.9516 0.3240 0.5824
O 0.7930 0.9629 0.6938
O 0.0189 0.2021 0.9110
O 0.8690 0.3565 0.6384
S 0.7041 0.7176 0.2484
O 0.5197 0.8241 0.7571
O 0.3665 0.8645 0.8600
O 0.1704 0.6968 0.7565
O 0.4575 0.1571 0.5294
```

The energy of formation from the pure elements comes out at -2878.4 meV per atom. Its MP2020-corrected energy is -0.2882 hartree per atom. The value obtained for the total moment is 0.00 μB per formula unit.

Entry from Materials Project: a relaxed NbI4 crystal (PBE-GGA). Values from VASP.

```
&SYSTEM
  ibrav = 0, nat = 20, ntyp = 2
/
ATOMIC_SPECIES
I 126.90 I.upf
Nb 92.91 Nb.upf
CELL_PARAMETERS angstrom
3.9123 -7.0491 0.0000
3.9123 7.0491 0.0000
0.0000 0.0000 14.8974
ATOMIC_POSITIONS crystal
I 0.0098 0.4746 0.7736
I 0.2539 0.7461 0.0396
I 0.5254 0.9902 0.7736
Nb 0.0903 0.3371 0.6233
Nb 0.6629 0.9097 0.6233
I 0.7345 0.2655 0.0518
Nb 0.9097 0.6629 0.1233
I 0.4746 0.0098 0.2736
I 0.2655 0.7345 0.5518
I 0.7724 0.7406 0.9720
I 0.0072 0.9928 0.7069
I 0.5123 0.4877 0.1951
I 0.2594 0.2276 0.9720
Nb 0.3371 0.0903 0.1233
I 0.7406 0.7724 0.4720
I 0.4877 0.5123 0.6951
I 0.7461 0.2539 0.5396
I 0.9928 0.0072 0.2069
I 0.9902 0.5254 0.2736
I 0.2276 0.2594 0.4720
```

The energy of formation from the pure elements comes out at -766.9 meV per atom. The crystal system is orthorhombic. Its MP2020-corrected energy is -0.1472 hartree per atom. For the piezoelectric modulus e_max, the calculation gives 0.0 C/m2.

Entry from Materials Project: a relaxed Lu2MgS4 crystal (PBE-GGA). Values from VASP.

```
&SYSTEM
  ibrav = 0, nat = 56, ntyp = 3
/
ATOMIC_SPECIES
S 32.06 S.upf
Lu 174.97 Lu.upf
Mg 24.30 Mg.upf
CELL_PARAMETERS angstrom
-10.6261 4.1120 -5.0452
1.8164 -3.2156 -6.4464
-5.8507 -10.6337 3.6558
ATOMIC_POSITIONS crystal
S 0.7867 0.1196 0.0052
S 0.5208 0.6244 0.8718
S 0.2683 0.1301 0.2764
Lu 0.1336 0.1297 0.9906
S 0.2677 0.6326 0.2771
Lu 0.1337 0.6299 0.9911
Lu 0.6275 0.6182 0.3261
Lu 0.3725 0.3818 0.8261
S 0.4658 0.3755 0.6318
Lu 0.1088 0.8828 0.6863
S 0.9588 0.1244 0.6352
Lu 0.3664 0.1297 0.4906
Mg 0.3739 0.8779 0.8222
S 0.5145 0.1240 0.8768
S 0.2323 0.6326 0.7771
S 0.2133 0.8804 0.5052
Lu 0.8725 0.6182 0.8261
Lu 0.3912 0.8828 0.1863
S 0.7144 0.6198 0.5166
Lu 0.8664 0.8703 0.4906
Lu 0.8912 0.1172 0.1863
Mg 0.8739 0.1221 0.8222
S 0.9792 0.6244 0.3718
Mg 0.8902 0.6197 0.1897
Lu 0.3663 0.6299 0.4911
Lu 0.6088 0.1172 0.6863
Lu 0.6337 0.8703 0.9906
S 0.7677 0.3674 0.2771
Lu 0.1275 0.3818 0.3261
S 0.4792 0.3756 0.3718
S 0.2144 0.3802 0.5166
S 0.4855 0.8760 0.3768
Lu 0.6337 0.3701 0.9911
S 0.5412 0.1244 0.1352
S 0.5342 0.6245 0.1318
S 0.9855 0.1240 0.3768
S 0.7856 0.6198 0.0166
Mg 0.3902 0.3803 0.1897
S 0.7323 0.3674 0.7771
S 0.0412 0.8756 0.1352
S 0.7317 0.8699 0.7764
S 0.2856 0.3802 0.0166
Lu 0.8663 0.3701 0.4911
S 0.7683 0.8699 0.2764
S 0.4588 0.8756 0.6352
S 0.0342 0.3755 0.1318
S 0.0208 0.3756 0.8718
S 0.7133 0.1196 0.5052
Mg 0.6098 0.6197 0.6897
Mg 0.6261 0.1221 0.3222
S 0.9658 0.6245 0.6318
S 0.2867 0.8804 0.0052
S 0.0145 0.8760 0.8768
Mg 0.1098 0.3803 0.6897
Mg 0.1261 0.8779 0.3222
S 0.2317 0.1301 0.7764
```

The energy of formation from the pure elements comes out at -2143.3 meV per atom. As for the distance to the lowest polymorph of the same formula: 0.039 eV per atom. The crystal system is orthorhombic. Its MP2020-corrected energy is -0.2215 hartree per atom. The value obtained for the total moment is 0.00 μB per formula unit.